{
  "formula": "Ho5NiPb3",
  "functional": "GGA-PBE",
  "state": "relaxed",
  "formation_energy_kj_per_mol_atoms": -50.2,
  "final_energy_ev_per_atom": -4.946,
  "space_group": "P6_3/mcm (193)",
  "lattice": [[9.139, 0.000, 0.000], [-4.570, 7.915, 0.000], [0.000, 0.000, 6.684]],
  "species": ["Ho", "Ho", "Ho", "Ho", "Ho", "Ho", "Ho", "Ho", "Ho", "Ho", "Ni", "Ni", "Pb", "Pb", "Pb", "Pb", "Pb", "Pb"],
  "frac_coords": [[0.000, 0.237, 0.250], [0.000, 0.763, 0.750], [0.237, 0.000, 0.250], [0.237, 0.237, 0.750], [0.333, 0.667, 0.000], [0.333, 0.667, 0.500], [0.667, 0.333, 0.000], [0.667, 0.333, 0.500], [0.763, 0.000, 0.750], [0.763, 0.763, 0.250], [0.000, 0.000, 0.000], [0.000, 0.000, 0.500], [0.000, 0.400, 0.750], [0.000, 0.600, 0.250], [0.400, 0.000, 0.750], [0.400, 0.400, 0.250], [0.600, 0.000, 0.250], [0.600, 0.600, 0.750]]
}